Record 1
A relaxed structure of Ge2Sb2Te5. Source: the Materials Project database, functional PBE.

Energy relative to the lowest polymorph listed for this composition: 0.000 eV per atom
MP2020-corrected energy: -4.027 eV/atom

Unit cell a=4.294 b=4.294 c=17.101 alpha=90.00 beta=90.00 gamma=120.00
Sites, in units of the cell vectors:
Te  0.333  0.667  0.202
Te  0.667  0.333  0.798
Te  0.667  0.333  0.420
Te  0.333  0.667  0.580
Te  0.000  0.000  0.000
Ge  0.667  0.333  0.103
Ge  0.333  0.667  0.897
Sb  0.000  0.000  0.680
Sb  0.000  0.000  0.320

Record 2
A relaxed structure of PrMnB4. Source: the Materials Project database, functional PBE.

Unit cell a=3.540 b=6.029 c=11.675 alpha=90.00 beta=90.00 gamma=90.00
Sites, in units of the cell vectors:
B  0.500  0.224  0.820
B  0.500  0.479  0.187
B  0.500  0.776  0.180
B  0.500  0.144  0.967
B  0.500  0.890  0.455
B  0.500  0.644  0.533
B  0.500  0.521  0.813
B  0.500  0.356  0.467
B  0.500  0.021  0.687
B  0.500  0.856  0.033
B  0.500  0.276  0.320
B  0.500  0.610  0.955
B  0.500  0.979  0.313
B  0.500  0.390  0.045
B  0.500  0.724  0.680
B  0.500  0.110  0.545
Pr  0.000  0.624  0.349
Pr  0.000  0.876  0.849
Pr  0.000  0.124  0.151
Pr  0.000  0.376  0.651
Mn  0.000  0.879  0.581
Mn  0.000  0.621  0.081
Mn  0.000  0.121  0.419
Mn  0.000  0.379  0.919

Record 3
A relaxed structure of Tb4Ga12Pt. Source: the Materials Project database, functional PBE.

Unit cell a=7.504 b=7.504 c=7.504 alpha=109.47 beta=109.47 gamma=109.47
Sites, in units of the cell vectors:
Ga  0.704  0.000  0.704
Ga  0.704  0.704  0.000
Ga  0.000  0.704  0.704
Ga  0.250  0.750  0.500
Ga  0.000  0.296  0.296
Ga  0.250  0.500  0.750
Ga  0.750  0.250  0.500
Ga  0.750  0.500  0.250
Ga  0.500  0.250  0.750
Ga  0.296  0.296  0.000
Ga  0.296  0.000  0.296
Ga  0.500  0.750  0.250
Pt  0.000  0.000  0.000
Tb  0.000  0.500  0.000
Tb  0.500  0.000  0.000
Tb  0.500  0.500  0.500
Tb  0.000  0.000  0.500

Record 4
A relaxed structure of Na5Mg2Sn2P5SO24. Source: the Materials Project database, functional PBE.

MP2020-corrected energy: -6.866 eV/atom

Unit cell a=8.896 b=8.897 c=22.426 alpha=90.34 beta=89.67 gamma=120.19
Sites, in units of the cell vectors:
O  0.882  0.520  0.141
O  0.477  0.355  0.143
O  0.987  0.816  0.089
O  0.501  0.149  0.922
O  0.836  0.030  0.088
O  0.972  0.171  0.303
O  0.209  0.177  0.804
O  0.539  0.687  0.969
O  0.639  0.520  0.639
O  0.142  0.649  0.078
O  0.967  0.794  0.805
O  0.521  0.829  0.757
O  0.886  0.362  0.641
O  0.708  0.161  0.031
O  0.366  0.480  0.363
O  0.784  0.823  0.196
O  0.371  0.890  0.860
O  0.452  0.152  0.528
O  0.855  0.299  0.528
O  0.983  0.168  0.589
O  0.207  0.029  0.302
O  0.499  0.644  0.576
O  0.541  0.839  0.470
O  0.346  0.490  0.078
O  0.635  0.117  0.142
O  0.185  0.966  0.195
O  0.113  0.479  0.860
O  0.855  0.360  0.922
O  0.642  0.506  0.922
O  0.175  0.221  0.695
O  0.848  0.501  0.422
O  0.114  0.633  0.359
O  0.831  0.811  0.587
O  0.313  0.481  0.757
O  0.305  0.452  0.470
O  0.015  0.826  0.412
O  0.835  0.308  0.245
O  0.824  0.029  0.805
O  0.310  0.844  0.256
O  0.518  0.883  0.358
O  0.149  0.691  0.472
O  0.315  0.856  0.974
O  0.181  0.198  0.410
O  0.523  0.687  0.257
O  0.148  0.498  0.578
O  0.164  0.477  0.255
O  0.015  0.189  0.912
O  0.355  0.859  0.579
O  0.044  0.826  0.695
O  0.455  0.294  0.031
O  0.684  0.521  0.245
O  0.694  0.548  0.525
O  0.524  0.633  0.860
O  0.189  0.162  0.089
O  0.780  0.954  0.694
O  0.842  0.546  0.029
O  0.823  0.787  0.306
O  0.683  0.157  0.744
O  0.169  0.977  0.912
O  0.146  0.458  0.974
O  0.638  0.143  0.423
O  0.479  0.121  0.641
O  0.800  0.821  0.911
O  0.167  0.691  0.756
O  0.498  0.363  0.422
O  0.467  0.157  0.244
O  0.041  0.220  0.192
O  0.188  0.021  0.588
O  0.476  0.318  0.743
O  0.502  0.859  0.077
O  0.805  0.978  0.412
O  0.840  0.525  0.743
Na  0.994  0.623  0.252
Na  0.333  0.667  0.663
Na  0.678  0.330  0.335
Na  0.369  0.374  0.247
Na  0.003  0.003  0.500
Na  0.991  0.360  0.749
Na  0.639  0.999  0.252
Na  0.667  0.329  0.834
Na  0.343  0.662  0.162
Na  0.037  0.343  0.078
Na  0.000  0.999  0.991
Na  0.305  0.965  0.076
Na  0.708  0.678  0.417
Na  0.640  0.632  0.747
Na  0.369  0.009  0.749
P  0.998  0.709  0.752
P  0.037  0.368  0.919
P  0.665  0.627  0.584
P  0.965  0.333  0.586
P  0.293  0.293  0.752
P  0.330  0.963  0.919
P  0.376  0.337  0.086
P  0.039  0.668  0.415
P  0.709  0.000  0.752
P  0.704  0.703  0.253
P  0.373  0.042  0.585
P  0.000  0.294  0.251
P  0.960  0.627  0.085
P  0.625  0.962  0.415
P  0.663  0.037  0.086
S  0.292  0.000  0.251
S  0.629  0.667  0.918
S  0.332  0.370  0.416
Sn  0.329  0.668  0.820
Sn  0.990  0.997  0.148
Sn  0.332  0.674  0.520
Sn  0.668  0.330  0.981
Sn  0.674  0.328  0.486
Sn  0.000  0.999  0.648
Mg  0.007  0.007  0.853
Mg  0.992  0.999  0.354
Mg  0.333  0.666  0.017
Mg  0.330  0.665  0.319
Mg  0.668  0.335  0.682
Mg  0.671  0.338  0.181

Record 5
A relaxed structure of Si3H. Source: the Materials Project database, functional PBE.

Energy relative to the lowest polymorph listed for this composition: 0.012 eV per atom
MP2020-corrected energy: -4.914 eV/atom

Unit cell a=11.429 b=11.429 c=11.429 alpha=19.53 beta=19.53 gamma=19.53
Sites, in units of the cell vectors:
H  0.183  0.183  0.183
H  0.817  0.817  0.817
Si  0.345  0.345  0.345
Si  0.655  0.655  0.655
Si  0.228  0.228  0.228
Si  0.416  0.416  0.416
Si  0.772  0.772  0.772
Si  0.584  0.584  0.584

Record 6
A relaxed structure of Sr3Th. Source: the Materials Project database, functional PBE.

Unit cell a=6.893 b=6.893 c=6.893 alpha=130.71 beta=130.71 gamma=72.27
Sites, in units of the cell vectors:
Sr  0.750  0.250  0.500
Sr  0.250  0.750  0.500
Sr  0.500  0.500  0.000
Th  0.000  0.000  0.000

| no. | formation enthalpy at 0 K (eV per formula unit) | total DFT energy (no corrections) (eV per atom) |
| --- | --- | --- |
| 1 | -3.023 | -3.79 |
| 2 | -2.814 | -7.25 |
| 3 | -10.851 | -4.22 |
| 4 | -99.981 | -6.44 |
| 5 | 0.013 | -4.87 |
| 6 | 1.619 | -2.72 |